[1]
## ZrCrAgS4 (PBE)

Data for crystalline ZrCrAgS4 at its relaxed geometry.

a = 7.438 Å, b = 7.438 Å, c = 10.536 Å
α = 89.63°, β = 89.63°, γ = 89.20°
Atoms (fractional coordinates):
1 S 0.272 0.486 0.118
2 S 0.726 0.005 0.131
3 S 0.232 0.984 0.607
4 S 0.005 0.226 0.381
5 S 0.013 0.779 0.393
6 S 0.772 0.986 0.618
7 S 0.505 0.726 0.881
8 S 0.279 0.013 0.143
9 S 0.732 0.484 0.107
10 S 0.984 0.732 0.857
11 S 0.986 0.272 0.868
12 S 0.779 0.513 0.643
13 S 0.484 0.232 0.357
14 S 0.486 0.772 0.368
15 S 0.513 0.279 0.893
16 S 0.226 0.505 0.631
17 Ag 0.996 0.512 0.254
18 Ag 0.496 0.012 0.754
19 Ag 0.512 0.496 0.504
20 Ag 0.012 0.996 0.004
21 Cr 0.503 0.249 0.124
22 Cr 0.749 0.503 0.874
23 Cr 0.249 0.003 0.374
24 Cr 0.003 0.749 0.624
25 Zr 0.002 0.239 0.623
26 Zr 0.239 0.502 0.873
27 Zr 0.502 0.739 0.123
28 Zr 0.739 0.002 0.373

Summary:
The energy of formation from the pure elements is -1.203 eV per atom. The spin magnetization comes out at 0.429 μB/atom. The value obtained for the calculated volume is 20.81 Å³/atom. For the energy above the most stable polymorph in this dataset, the calculation gives 0.0 kJ/mol of atoms.

[2]
## ZrCrAgS4 (PBE)

Data for crystalline ZrCrAgS4 at its relaxed geometry.

a = 6.193 Å, b = 3.604 Å, c = 12.747 Å
α = 90.00°, β = 90.99°, γ = 90.00°
Atoms (fractional coordinates):
1 Zr 0.247 0.250 0.005
2 Zr 0.753 0.750 0.995
3 Cr 0.265 0.250 0.492
4 Cr 0.735 0.750 0.508
5 Ag 0.246 0.250 0.733
6 Ag 0.754 0.750 0.267
7 S 0.087 0.750 0.123
8 S 0.091 0.750 0.594
9 S 0.409 0.750 0.881
10 S 0.415 0.750 0.395
11 S 0.585 0.250 0.605
12 S 0.591 0.250 0.119
13 S 0.909 0.250 0.406
14 S 0.913 0.250 0.877

Summary:
The energy of formation from the pure elements is -1.159 eV per atom. The spin magnetization comes out at 0.400 μB/atom. The value obtained for the calculated volume is 20.32 Å³/atom. For the energy above the most stable polymorph in this dataset, the calculation gives 4.2 kJ/mol of atoms.

[3]
## ZrCrAgS4 (PBE)

Data for crystalline ZrCrAgS4 at its relaxed geometry.

a = 6.167 Å, b = 7.170 Å, c = 13.280 Å
α = 89.88°, β = 89.86°, γ = 89.93°
Atoms (fractional coordinates):
1 Zr 0.000 0.000 0.000
2 Zr 0.000 0.498 0.000
3 Zr 0.003 0.518 0.496
4 Zr 0.503 0.231 0.503
5 Cr 0.499 0.750 0.496
6 Cr 0.500 0.749 0.003
7 Cr 0.502 0.249 0.997
8 Cr 0.998 0.997 0.499
9 Ag 0.162 0.249 0.754
10 Ag 0.481 0.245 0.255
11 Ag 0.524 0.753 0.749
12 Ag 0.850 0.747 0.245
13 S 0.159 0.239 0.394
14 S 0.178 0.748 0.110
15 S 0.178 0.769 0.392
16 S 0.183 0.248 0.108
17 S 0.315 0.982 0.606
18 S 0.344 0.509 0.608
19 S 0.352 0.001 0.893
20 S 0.352 0.498 0.893
21 S 0.648 0.499 0.105
22 S 0.648 0.999 0.106
23 S 0.655 0.509 0.389
24 S 0.682 0.984 0.392
25 S 0.816 0.763 0.602
26 S 0.819 0.749 0.892
27 S 0.823 0.250 0.889
28 S 0.849 0.237 0.608

Summary:
The energy of formation from the pure elements is -1.164 eV per atom. The spin magnetization comes out at 0.429 μB/atom. The value obtained for the calculated volume is 20.97 Å³/atom. For the energy above the most stable polymorph in this dataset, the calculation gives 3.8 kJ/mol of atoms.

[4]
## ZrCrAgS4 (PBE)

Data for crystalline ZrCrAgS4 at its relaxed geometry.

a = 6.676 Å, b = 7.793 Å, c = 12.937 Å
α = 98.39°, β = 94.81°, γ = 90.32°
Atoms (fractional coordinates):
1 Zr 0.145 0.203 0.304
2 Zr 0.239 0.384 0.999
3 Zr 0.761 0.616 0.001
4 Zr 0.855 0.797 0.696
5 Cr 0.363 0.056 0.705
6 Cr 0.365 0.548 0.701
7 Cr 0.635 0.452 0.299
8 Cr 0.637 0.944 0.295
9 Ag 0.118 0.697 0.307
10 Ag 0.268 0.871 0.000
11 Ag 0.732 0.129 0.000
12 Ag 0.882 0.303 0.693
13 S 0.096 0.644 0.106
14 S 0.125 0.162 0.116
15 S 0.208 0.789 0.643
16 S 0.232 0.282 0.639
17 S 0.337 0.465 0.376
18 S 0.337 0.966 0.365
19 S 0.373 0.106 0.878
20 S 0.415 0.574 0.883
21 S 0.585 0.426 0.117
22 S 0.627 0.894 0.122
23 S 0.663 0.034 0.635
24 S 0.663 0.535 0.624
25 S 0.768 0.718 0.361
26 S 0.792 0.211 0.357
27 S 0.875 0.838 0.884
28 S 0.904 0.356 0.894

Summary:
The energy of formation from the pure elements is -0.991 eV per atom. The spin magnetization comes out at 0.429 μB/atom. The value obtained for the calculated volume is 23.69 Å³/atom. For the energy above the most stable polymorph in this dataset, the calculation gives 20.4 kJ/mol of atoms.

[5]
## ZrCrAgS4 (PBE)

Data for crystalline ZrCrAgS4 at its relaxed geometry.

a = 6.122 Å, b = 7.145 Å, c = 6.565 Å
α = 90.00°, β = 92.22°, γ = 90.00°
Atoms (fractional coordinates):
1 Zr 0.000 0.000 0.000
2 Zr 0.500 0.281 0.000
3 Cr 0.000 0.517 0.000
4 Cr 0.500 0.763 0.000
5 Ag 0.500 0.271 0.500
6 Ag 0.500 0.758 0.500
7 S 0.162 0.274 0.220
8 S 0.184 0.749 0.213
9 S 0.313 0.529 0.782
10 S 0.336 0.006 0.778
11 S 0.664 0.006 0.222
12 S 0.687 0.529 0.218
13 S 0.816 0.749 0.787
14 S 0.838 0.274 0.780

Summary:
The energy of formation from the pure elements is -1.187 eV per atom. The spin magnetization comes out at 0.429 μB/atom. The value obtained for the calculated volume is 20.50 Å³/atom. For the energy above the most stable polymorph in this dataset, the calculation gives 1.5 kJ/mol of atoms.

[6]
## ZrCrAgS4 (PBE)

Data for crystalline ZrCrAgS4 at its relaxed geometry.

a = 7.234 Å, b = 6.150 Å, c = 6.577 Å
α = 91.68°, β = 90.00°, γ = 90.00°
Atoms (fractional coordinates):
1 S 0.750 0.844 0.289
2 S 0.000 0.683 0.721
3 S 0.250 0.844 0.289
4 S 0.500 0.316 0.279
5 S 0.750 0.156 0.711
6 S 0.500 0.683 0.721
7 S 0.000 0.316 0.279
8 S 0.250 0.156 0.711
9 Zr 0.250 0.500 0.500
10 Zr 0.750 0.500 0.500
11 Ag 0.500 0.000 0.000
12 Ag 0.000 0.000 0.000
13 Cr 0.500 0.000 0.500
14 Cr 0.000 0.000 0.500

Summary:
The energy of formation from the pure elements is -1.185 eV per atom. The spin magnetization comes out at 0.429 μB/atom. The value obtained for the calculated volume is 20.89 Å³/atom. For the energy above the most stable polymorph in this dataset, the calculation gives 1.7 kJ/mol of atoms.

[7]
## ZrCrAgS4 (PBE)

Data for crystalline ZrCrAgS4 at its relaxed geometry.

a = 14.083 Å, b = 3.637 Å, c = 6.109 Å
α = 90.00°, β = 114.39°, γ = 90.00°
Atoms (fractional coordinates):
1 Cr 0.755 0.000 0.771
2 Cr 0.255 0.500 0.771
3 S 0.650 0.500 0.512
4 S 0.357 0.500 0.535
5 S 0.130 0.500 0.959
6 S 0.857 0.000 0.535
7 S 0.366 0.000 0.015
8 S 0.150 0.000 0.512
9 S 0.866 0.500 0.015
10 S 0.630 0.000 0.959
11 Zr 0.246 0.000 0.227
12 Zr 0.746 0.500 0.227
13 Ag 0.997 0.500 0.482
14 Ag 0.497 0.000 0.482

Summary:
The energy of formation from the pure elements is -1.184 eV per atom. The spin magnetization comes out at 0.429 μB/atom. The value obtained for the calculated volume is 20.36 Å³/atom. For the energy above the most stable polymorph in this dataset, the calculation gives 1.8 kJ/mol of atoms.

[8]
## ZrCrAgS4 (PBE)

Data for crystalline ZrCrAgS4 at its relaxed geometry.

a = 3.619 Å, b = 11.374 Å, c = 13.214 Å
α = 90.00°, β = 90.00°, γ = 90.00°
Atoms (fractional coordinates):
1 Zr 0.000 0.178 0.000
2 Zr 0.000 0.202 0.527
3 Zr 0.500 0.798 0.027
4 Zr 0.500 0.822 0.500
5 Cr 0.000 0.655 0.316
6 Cr 0.000 0.687 0.800
7 Cr 0.500 0.313 0.300
8 Cr 0.500 0.345 0.816
9 Ag 0.000 0.000 0.748
10 Ag 0.000 0.504 0.596
11 Ag 0.500 0.000 0.248
12 Ag 0.500 0.496 0.096
13 S 0.000 0.170 0.334
14 S 0.000 0.298 0.702
15 S 0.000 0.384 0.931
16 S 0.000 0.450 0.258
17 S 0.000 0.650 0.977
18 S 0.000 0.766 0.626
19 S 0.000 0.865 0.367
20 S 0.000 0.955 0.071
21 S 0.500 0.045 0.571
22 S 0.500 0.135 0.867
23 S 0.500 0.234 0.126
24 S 0.500 0.350 0.477
25 S 0.500 0.550 0.758
26 S 0.500 0.616 0.431
27 S 0.500 0.702 0.202
28 S 0.500 0.830 0.834

Summary:
The energy of formation from the pure elements is -1.108 eV per atom. The spin magnetization comes out at 0.429 μB/atom. The value obtained for the calculated volume is 19.42 Å³/atom. For the energy above the most stable polymorph in this dataset, the calculation gives 9.2 kJ/mol of atoms.

[9]
## ZrCrAgS4 (PBE)

Data for crystalline ZrCrAgS4 at its relaxed geometry.

a = 7.100 Å, b = 11.990 Å, c = 13.091 Å
α = 89.15°, β = 89.77°, γ = 89.65°
Atoms (fractional coordinates):
1 Zr 0.000 0.000 0.000
2 Zr 0.008 0.515 0.658
3 Zr 0.218 0.771 0.506
4 Zr 0.227 0.509 0.000
5 Zr 0.508 0.014 0.351
6 Zr 0.519 0.278 0.847
7 Zr 0.705 0.789 0.856
8 Zr 0.727 0.507 0.351
9 Cr 0.243 0.059 0.604
10 Cr 0.248 0.238 0.103
11 Cr 0.480 0.774 0.190
12 Cr 0.541 0.544 0.635
13 Cr 0.734 0.044 0.622
14 Cr 0.766 0.269 0.203
15 Cr 0.982 0.270 0.499
16 Cr 0.986 0.735 0.106
17 Ag 0.011 0.006 0.326
18 Ag 0.233 0.514 0.335
19 Ag 0.257 0.794 0.837
20 Ag 0.495 0.278 0.477
21 Ag 0.501 0.014 0.974
22 Ag 0.741 0.786 0.468
23 Ag 0.748 0.510 0.986
24 Ag 0.978 0.284 0.822
25 S 0.009 0.923 0.574
26 S 0.215 0.406 0.540
27 S 0.219 0.138 0.444
28 S 0.220 0.432 0.812
29 S 0.232 0.865 0.077
30 S 0.240 0.157 0.944
31 S 0.244 0.626 0.168
32 S 0.273 0.663 0.675
33 S 0.277 0.853 0.323
34 S 0.479 0.653 0.931
35 S 0.482 0.365 0.032
36 S 0.484 0.934 0.543
37 S 0.486 0.175 0.676
38 S 0.493 0.622 0.465
39 S 0.502 0.131 0.185
40 S 0.508 0.370 0.287
41 S 0.513 0.936 0.784
42 S 0.702 0.442 0.776
43 S 0.728 0.875 0.288
44 S 0.736 0.631 0.190
45 S 0.737 0.862 0.048
46 S 0.751 0.422 0.541
47 S 0.756 0.126 0.456
48 S 0.762 0.163 0.925
49 S 0.762 0.681 0.681
50 S 0.971 0.354 0.327
51 S 0.984 0.926 0.824
52 S 0.986 0.170 0.658
53 S 0.990 0.660 0.945
54 S 0.993 0.630 0.457
55 S 0.995 0.127 0.165
56 S 0.999 0.371 0.080

Summary:
The energy of formation from the pure elements is -1.013 eV per atom. The spin magnetization comes out at 0.429 μB/atom. The value obtained for the calculated volume is 19.90 Å³/atom. For the energy above the most stable polymorph in this dataset, the calculation gives 18.3 kJ/mol of atoms.

[10]
## ZrCrAgS4 (PBE)

Data for crystalline ZrCrAgS4 at its relaxed geometry.

a = 7.584 Å, b = 7.441 Å, c = 10.264 Å
α = 90.00°, β = 90.00°, γ = 90.00°
Atoms (fractional coordinates):
1 Zr 0.750 0.003 0.375
2 Zr 0.250 0.503 0.875
3 Zr 0.250 0.997 0.375
4 Zr 0.750 0.497 0.875
5 S 0.208 0.000 0.624
6 S 0.292 0.000 0.126
7 S 0.999 0.764 0.386
8 S 0.501 0.736 0.886
9 S 0.792 0.000 0.624
10 S 0.792 0.500 0.626
11 S 0.999 0.736 0.864
12 S 0.001 0.264 0.864
13 S 0.708 0.500 0.124
14 S 0.292 0.500 0.124
15 S 0.708 0.000 0.126
16 S 0.001 0.236 0.386
17 S 0.499 0.264 0.886
18 S 0.499 0.236 0.364
19 S 0.501 0.764 0.364
20 S 0.208 0.500 0.626
21 Ag 0.000 0.000 0.019
22 Ag 0.500 0.000 0.731
23 Ag 0.500 0.500 0.519
24 Ag 0.000 0.500 0.231
25 Cr 0.001 0.250 0.625
26 Cr 0.499 0.250 0.125
27 Cr 0.999 0.750 0.625
28 Cr 0.501 0.750 0.125

Summary:
The energy of formation from the pure elements is -1.202 eV per atom. The spin magnetization comes out at 0.429 μB/atom. The value obtained for the calculated volume is 20.69 Å³/atom. For the energy above the most stable polymorph in this dataset, the calculation gives 0.0 kJ/mol of atoms.

[11]
## ZrCrAgS4 (PBE)

Data for crystalline ZrCrAgS4 at its relaxed geometry.

a = 6.142 Å, b = 3.634 Å, c = 12.845 Å
α = 90.00°, β = 91.95°, γ = 90.00°
Atoms (fractional coordinates):
1 Zr 0.020 0.000 0.247
2 Zr 0.980 0.000 0.753
3 Cr 0.484 0.500 0.256
4 Cr 0.516 0.500 0.744
5 Ag 0.000 0.000 0.500
6 Ag 0.500 0.500 0.000
7 S 0.167 0.500 0.131
8 S 0.175 0.500 0.642
9 S 0.353 0.000 0.366
10 S 0.365 0.000 0.847
11 S 0.635 0.000 0.153
12 S 0.647 0.000 0.634
13 S 0.825 0.500 0.358
14 S 0.833 0.500 0.869

Summary:
The energy of formation from the pure elements is -1.182 eV per atom. The spin magnetization comes out at 0.429 μB/atom. The value obtained for the calculated volume is 20.47 Å³/atom. For the energy above the most stable polymorph in this dataset, the calculation gives 2.0 kJ/mol of atoms.

[12]
## ZrCrAgS4 (PBE)

Data for crystalline ZrCrAgS4 at its relaxed geometry.

a = 12.239 Å, b = 3.630 Å, c = 12.266 Å
α = 90.00°, β = 90.84°, γ = 90.00°
Atoms (fractional coordinates):
1 Zr 0.000 0.000 0.000
2 Zr 0.077 0.000 0.499
3 Zr 0.474 0.500 0.832
4 Zr 0.697 0.000 0.558
5 Cr 0.219 0.500 0.266
6 Cr 0.364 0.000 0.065
7 Cr 0.589 0.500 0.314
8 Cr 0.862 0.500 0.765
9 Ag 0.200 0.000 0.786
10 Ag 0.377 0.500 0.518
11 Ag 0.693 0.500 0.047
12 Ag 0.876 0.000 0.281
13 S 0.033 0.500 0.351
14 S 0.041 0.500 0.852
15 S 0.173 0.500 0.606
16 S 0.177 0.000 0.135
17 S 0.257 0.000 0.386
18 S 0.306 0.500 0.944
19 S 0.405 0.000 0.705
20 S 0.406 0.500 0.192
21 S 0.528 0.000 0.437
22 S 0.540 0.000 0.968
23 S 0.666 0.500 0.707
24 S 0.672 0.000 0.216
25 S 0.754 0.500 0.426
26 S 0.820 0.000 0.883
27 S 0.903 0.500 0.102
28 S 0.906 0.000 0.631

Summary:
The energy of formation from the pure elements is -1.096 eV per atom. The spin magnetization comes out at 0.429 μB/atom. The value obtained for the calculated volume is 19.46 Å³/atom. For the energy above the most stable polymorph in this dataset, the calculation gives 10.3 kJ/mol of atoms.

[13]
## ZrCrAgS4 (PBE)

Data for crystalline ZrCrAgS4 at its relaxed geometry.

a = 6.667 Å, b = 7.811 Å, c = 12.711 Å
α = 82.06°, β = 84.70°, γ = 89.94°
Atoms (fractional coordinates):
1 Zr 0.000 0.000 0.000
2 Zr 0.090 0.174 0.308
3 Zr 0.382 0.597 0.701
4 Zr 0.602 0.457 0.298
5 Cr 0.479 0.777 0.000
6 Cr 0.613 0.937 0.293
7 Cr 0.870 0.844 0.707
8 Cr 0.875 0.336 0.707
9 Ag 0.110 0.696 0.299
10 Ag 0.352 0.092 0.699
11 Ag 0.500 0.264 0.995
12 Ag 0.981 0.526 0.997
13 S 0.002 0.105 0.642
14 S 0.027 0.603 0.650
15 S 0.095 0.229 0.118
16 S 0.158 0.747 0.100
17 S 0.341 0.022 0.901
18 S 0.359 0.566 0.891
19 S 0.441 0.168 0.363
20 S 0.443 0.689 0.379
21 S 0.572 0.356 0.638
22 S 0.574 0.859 0.632
23 S 0.613 0.515 0.107
24 S 0.632 0.957 0.112
25 S 0.805 0.812 0.887
26 S 0.864 0.284 0.881
27 S 0.897 0.920 0.384
28 S 0.924 0.419 0.378

Summary:
The energy of formation from the pure elements is -0.982 eV per atom. The spin magnetization comes out at 0.429 μB/atom. The value obtained for the calculated volume is 23.31 Å³/atom. For the energy above the most stable polymorph in this dataset, the calculation gives 21.3 kJ/mol of atoms.